1.
SrSmCr4O12: relaxed, PBE with a Hubbard U.

Cell: 5.325 5.325 7.605 Å, 90.00 90.00 90.00°
Space group P4/mmm (No. 123)
Asymmetric unit:
1 Sr 0.000 0.000 0.000
2 Sm 0.500 0.500 0.500
3 Cr 0.000 0.500 0.248
4 O 0.000 0.500 0.000
5 O 0.000 0.500 0.500
6 O 0.256 0.256 0.258

Properties
MP2020-corrected energy = -142.1 eV/cell
ΔH_f (0 K) = -48.3 kcal/mol of atoms



2.
SrSmZrCrO6: relaxed, PBE with a Hubbard U.

Cell: 8.061 8.061 8.061 Å, 90.00 90.00 90.00°
Space group F-43m (No. 216)
Asymmetric unit:
1 Sr 0.000 0.000 0.000
2 Sm 0.000 0.000 0.500
3 Zr 0.250 0.250 0.250
4 Cr 0.250 0.250 0.750
5 O 0.006 0.250 0.750

Properties
MP2020-corrected energy = -346.3 eV/cell
ΔH_f (0 K) = -74.5 kcal/mol of atoms



3.
SmCrTeO6: relaxed, PBE with a Hubbard U.

Cell: 5.2202 5.2202 10.0865 Å, 90.00 90.00 120.00°
Space group P-31c (No. 163)
Asymmetric unit:
1 Sm 0.0000 0.0000 0.0000
2 Cr 0.3333 0.6667 0.2500
3 Te 0.3333 0.6667 0.7500
4 O 0.0102 0.3699 0.8581

Properties
Polymorph energy (0 for the lowest one) = 0.0 meV/atom
MP2020-corrected energy = -139.9 eV/cell
ΔH_f (0 K) = -58.2 kcal/mol of atoms



4.
SmCrTeO6: relaxed, PBE with a Hubbard U.

Cell: 5.4978 5.4978 8.5743 Å, 90.00 90.00 120.00°
Space group P-31c (No. 163)
Asymmetric unit:
1 Sm 0.3333 0.6667 0.2500
2 Cr 0.0000 0.0000 0.0000
3 Te 0.3333 0.6667 0.7500
4 O 0.0517 0.3559 0.8785

Properties
Polymorph energy (0 for the lowest one) = 301.9 meV/atom
MP2020-corrected energy = -134.4 eV/cell
ΔH_f (0 K) = -51.3 kcal/mol of atoms